Entry 1:
KPrTe4: relaxed, PBE. Values from VASP.

Output
Symmetry = P4/nbm
Uncorrected energy = -48.4 eV for the cell shown

Quantum ESPRESSO input file:
```
&SYSTEM
  ibrav = 0, nat = 12, ntyp = 3
/
ATOMIC_SPECIES
K 39.10 K.upf
Pr 140.91 Pr.upf
Te 127.60 Te.upf
ATOMIC_POSITIONS crystal
K 0.250 0.250 0.000
K 0.750 0.750 0.000
Pr 0.250 0.250 0.500
Pr 0.750 0.750 0.500
Te 0.106 0.606 0.285
Te 0.106 0.894 0.715
Te 0.394 0.606 0.715
Te 0.394 0.894 0.285
Te 0.606 0.106 0.715
Te 0.606 0.394 0.285
Te 0.894 0.106 0.285
Te 0.894 0.394 0.715
CELL_PARAMETERS angstrom
6.970 0.000 0.000
0.000 6.970 0.000
0.000 0.000 9.026
```

---

Entry 2:
Ag3SbS3: relaxed, PBE. Values from VASP.

Output
Piezoelectric modulus e_max = 1.1 C/m²
Symmetry = R3c
Energy relative to the lowest polymorph listed for this composition = 0.001 eV/atom
Uncorrected energy = -51.9 eV for the cell shown

Quantum ESPRESSO input file:
```
&SYSTEM
  ibrav = 0, nat = 14, ntyp = 3
/
ATOMIC_SPECIES
Ag 107.87 Ag.upf
Sb 121.76 Sb.upf
S 32.06 S.upf
ATOMIC_POSITIONS crystal
Ag 0.081 0.295 0.624
Ag 0.124 0.795 0.581
Ag 0.295 0.624 0.081
Ag 0.581 0.124 0.795
Ag 0.624 0.081 0.295
Ag 0.795 0.581 0.124
Sb 0.036 0.036 0.036
Sb 0.536 0.536 0.536
S 0.277 0.939 0.284
S 0.284 0.277 0.939
S 0.439 0.777 0.784
S 0.777 0.784 0.439
S 0.784 0.439 0.777
S 0.939 0.284 0.277
CELL_PARAMETERS angstrom
5.475 3.161 3.213
-5.475 3.161 3.213
0.000 -6.322 3.213
```

---

Entry 3:
ZrGe3N2O9: relaxed, PBE. Values from VASP.

Output
Symmetry = P6_3/m
Uncorrected energy = -189.8 eV for the cell shown

Quantum ESPRESSO input file:
```
&SYSTEM
  ibrav = 0, nat = 30, ntyp = 4
/
ATOMIC_SPECIES
Zr 91.22 Zr.upf
Ge 72.64 Ge.upf
N 14.01 N.upf
O 16.00 O.upf
ATOMIC_POSITIONS crystal
Zr 0.000 0.000 0.000
Zr 0.000 0.000 0.500
Ge 0.126 0.737 0.250
Ge 0.263 0.389 0.250
Ge 0.389 0.126 0.750
Ge 0.611 0.874 0.250
Ge 0.737 0.611 0.750
Ge 0.874 0.263 0.750
N 0.333 0.667 0.556
N 0.333 0.667 0.944
N 0.667 0.333 0.056
N 0.667 0.333 0.444
O 0.012 0.778 0.118
O 0.012 0.778 0.382
O 0.077 0.477 0.250
O 0.222 0.234 0.118
O 0.222 0.234 0.382
O 0.234 0.012 0.618
O 0.234 0.012 0.882
O 0.399 0.923 0.250
O 0.477 0.399 0.750
O 0.523 0.601 0.250
O 0.601 0.077 0.750
O 0.766 0.988 0.118
O 0.766 0.988 0.382
O 0.778 0.766 0.618
O 0.778 0.766 0.882
O 0.923 0.523 0.750
O 0.988 0.222 0.618
O 0.988 0.222 0.882
CELL_PARAMETERS angstrom
7.381 0.000 0.000
-3.691 6.392 0.000
0.000 0.000 10.699
```

---

Entry 4:
Ca2Mg: relaxed, PBE. Values from VASP.

Output
Uncorrected energy = -22.0 eV for the cell shown

Quantum ESPRESSO input file:
```
&SYSTEM
  ibrav = 0, nat = 12, ntyp = 2
/
ATOMIC_SPECIES
Ca 40.08 Ca.upf
Mg 24.30 Mg.upf
ATOMIC_POSITIONS crystal
Ca 0.000 0.500 0.834
Ca 0.000 0.000 0.669
Ca 0.500 0.000 0.555
Mg 0.500 0.500 0.388
Mg 0.500 0.000 0.888
Mg 0.500 0.500 0.723
Ca 0.000 0.000 0.997
Ca 0.000 0.000 0.334
Mg 0.500 0.000 0.223
Ca 0.000 0.500 0.169
Ca 0.000 0.500 0.497
Ca 0.500 0.500 0.055
CELL_PARAMETERS angstrom
-4.732 1.049 3.321
-1.343 -3.425 -0.831
9.110 -7.282 15.280
```

---

Entry 5:
Ag3PO4: relaxed, PBE. Values from VASP.

Output
Symmetry = P-43n
Energy relative to the lowest polymorph listed for this composition = 0.000 eV/atom
Uncorrected energy = -84.5 eV for the cell shown

Quantum ESPRESSO input file:
```
&SYSTEM
  ibrav = 0, nat = 16, ntyp = 3
/
ATOMIC_SPECIES
Ag 107.87 Ag.upf
P 30.97 P.upf
O 16.00 O.upf
ATOMIC_POSITIONS crystal
Ag 0.000 0.250 0.500
Ag 0.000 0.750 0.500
Ag 0.250 0.500 0.000
Ag 0.500 0.000 0.250
Ag 0.500 0.000 0.750
Ag 0.750 0.500 0.000
P 0.000 0.000 0.000
P 0.500 0.500 0.500
O 0.148 0.148 0.852
O 0.148 0.852 0.148
O 0.352 0.352 0.352
O 0.352 0.648 0.648
O 0.648 0.352 0.648
O 0.648 0.648 0.352
O 0.852 0.148 0.148
O 0.852 0.852 0.852
CELL_PARAMETERS angstrom
6.116 0.000 0.000
0.000 6.116 0.000
0.000 0.000 6.116
```

---

Entry 6:
PrB4Ir4: relaxed, PBE. Values from VASP.

Output
Symmetry = P4_2/n
Uncorrected energy = -143.8 eV for the cell shown

Quantum ESPRESSO input file:
```
&SYSTEM
  ibrav = 0, nat = 18, ntyp = 3
/
ATOMIC_SPECIES
Pr 140.91 Pr.upf
B 10.81 B.upf
Ir 192.22 Ir.upf
ATOMIC_POSITIONS crystal
Pr 0.250 0.250 0.250
Pr 0.750 0.750 0.750
B 0.030 0.591 0.142
B 0.091 0.970 0.642
B 0.409 0.530 0.642
B 0.470 0.909 0.142
B 0.530 0.091 0.858
B 0.591 0.470 0.358
B 0.909 0.030 0.358
B 0.970 0.409 0.858
Ir 0.091 0.859 0.142
Ir 0.141 0.591 0.642
Ir 0.359 0.909 0.642
Ir 0.409 0.641 0.142
Ir 0.591 0.359 0.858
Ir 0.641 0.091 0.358
Ir 0.859 0.409 0.358
Ir 0.909 0.141 0.858
CELL_PARAMETERS angstrom
7.722 0.000 0.000
0.000 7.722 0.000
0.000 0.000 3.988
```

---

Entry 7:
Na7Ca2Ga2P5SO24: relaxed, PBE. Values from VASP.

Output
Symmetry = P1
Uncorrected energy = -781.6 eV for the cell shown

Quantum ESPRESSO input file:
```
&SYSTEM
  ibrav = 0, nat = 123, ntyp = 6
/
ATOMIC_SPECIES
Na 22.99 Na.upf
Ca 40.08 Ca.upf
Ga 69.72 Ga.upf
P 30.97 P.upf
S 32.06 S.upf
O 16.00 O.upf
ATOMIC_POSITIONS crystal
Na 0.000 0.000 0.000
Na 0.000 0.272 0.499
Na 0.003 0.643 0.745
Na 0.039 0.303 0.832
Na 0.039 0.927 0.328
Na 0.289 0.675 0.830
Na 0.290 0.302 0.335
Na 0.329 0.326 0.667
Na 0.330 0.615 0.164
Na 0.330 0.968 0.916
Na 0.353 0.968 0.417
Na 0.360 0.269 0.996
Na 0.369 0.629 0.502
Na 0.631 0.636 0.000
Na 0.665 0.926 0.834
Na 0.666 0.675 0.332
Na 0.671 0.289 0.581
Na 0.682 0.302 0.083
Na 0.684 0.606 0.662
Na 0.692 0.960 0.167
Na 0.991 0.629 0.244
Ca 0.321 0.967 0.761
Ca 0.327 0.964 0.071
Ca 0.331 0.964 0.262
Ca 0.332 0.966 0.570
Ca 0.994 0.637 0.396
Ca 0.998 0.634 0.896
Ga 0.010 0.613 0.593
Ga 0.654 0.308 0.430
Ga 0.665 0.302 0.932
Ga 0.669 0.305 0.734
Ga 0.680 0.300 0.233
Ga 0.983 0.643 0.091
P 0.011 0.965 0.164
P 0.012 0.286 0.664
P 0.299 0.624 0.998
P 0.305 0.336 0.495
P 0.329 0.646 0.665
P 0.386 0.581 0.330
P 0.388 0.297 0.831
P 0.654 0.645 0.164
P 0.661 0.027 0.330
P 0.661 0.585 0.832
P 0.699 0.941 0.997
P 0.703 0.623 0.497
P 0.942 0.025 0.832
P 0.947 0.298 0.334
P 0.990 0.341 0.996
S 0.329 0.285 0.165
S 0.649 0.966 0.666
S 0.989 0.934 0.499
O 0.015 0.842 0.442
O 0.023 0.406 0.938
O 0.085 0.997 0.108
O 0.088 0.182 0.607
O 0.120 0.007 0.830
O 0.124 0.138 0.332
O 0.124 0.928 0.219
O 0.127 0.214 0.719
O 0.142 0.953 0.505
O 0.143 0.164 0.005
O 0.170 0.625 0.655
O 0.180 0.455 0.158
O 0.198 0.654 0.941
O 0.201 0.415 0.439
O 0.205 0.601 0.053
O 0.208 0.600 0.330
O 0.212 0.457 0.830
O 0.217 0.454 0.552
O 0.299 0.750 0.722
O 0.305 0.206 0.219
O 0.316 0.165 0.504
O 0.327 0.777 0.005
O 0.358 0.177 0.112
O 0.369 0.758 0.329
O 0.370 0.137 0.830
O 0.370 0.723 0.610
O 0.476 0.473 0.274
O 0.477 0.458 0.995
O 0.478 0.311 0.774
O 0.481 0.329 0.492
O 0.485 0.301 0.170
O 0.486 0.501 0.388
O 0.490 0.281 0.889
O 0.490 0.464 0.671
O 0.502 0.007 0.330
O 0.502 0.762 0.831
O 0.519 0.968 0.005
O 0.521 0.770 0.505
O 0.533 0.000 0.615
O 0.538 0.721 0.110
O 0.577 0.932 0.721
O 0.579 0.761 0.220
O 0.644 0.134 0.387
O 0.644 0.497 0.889
O 0.663 0.471 0.174
O 0.664 0.119 0.672
O 0.675 0.112 0.272
O 0.676 0.484 0.774
O 0.691 0.117 0.994
O 0.697 0.452 0.496
O 0.772 0.836 0.940
O 0.776 0.647 0.439
O 0.815 0.852 0.052
O 0.816 0.811 0.656
O 0.819 0.602 0.553
O 0.822 0.601 0.831
O 0.822 0.850 0.331
O 0.823 0.330 0.994
O 0.828 0.120 0.173
O 0.829 0.635 0.154
O 0.830 0.311 0.673
O 0.833 0.117 0.777
O 0.837 0.105 0.497
O 0.840 0.318 0.279
O 0.860 0.124 0.891
O 0.861 0.279 0.392
O 0.960 0.848 0.831
O 0.962 0.466 0.049
O 0.966 0.457 0.333
O 0.973 0.839 0.550
O 0.991 0.468 0.656
O 0.996 0.800 0.156
CELL_PARAMETERS angstrom
9.080 0.000 0.000
4.533 7.922 0.000
0.144 -0.070 22.296
```

---

Entry 8:
Bi2Se2O: relaxed, PBE. Values from VASP.

Output
Symmetry = P4/nmm
Uncorrected energy = -45.9 eV for the cell shown

Quantum ESPRESSO input file:
```
&SYSTEM
  ibrav = 0, nat = 10, ntyp = 3
/
ATOMIC_SPECIES
Bi 208.98 Bi.upf
Se 78.96 Se.upf
O 16.00 O.upf
ATOMIC_POSITIONS crystal
Bi 0.250 0.250 0.083
Bi 0.250 0.250 0.638
Bi 0.750 0.750 0.362
Bi 0.750 0.750 0.917
Se 0.250 0.250 0.402
Se 0.250 0.250 0.817
Se 0.750 0.750 0.183
Se 0.750 0.750 0.598
O 0.250 0.750 0.000
O 0.750 0.250 0.000
CELL_PARAMETERS angstrom
4.072 0.000 0.000
0.000 4.072 0.000
0.000 0.000 14.992
```

---

Entry 9:
Cd5Te4S: relaxed, PBE. Values from VASP.

Output
Symmetry = R3m
Uncorrected energy = -25.8 eV for the cell shown

Quantum ESPRESSO input file:
```
&SYSTEM
  ibrav = 0, nat = 10, ntyp = 3
/
ATOMIC_SPECIES
Cd 112.41 Cd.upf
Te 127.60 Te.upf
S 32.06 S.upf
ATOMIC_POSITIONS crystal
Cd 0.000 0.000 0.000
Cd 0.195 0.195 0.195
Cd 0.390 0.390 0.390
Cd 0.598 0.598 0.598
Cd 0.793 0.793 0.793
Te 0.246 0.246 0.246
Te 0.441 0.441 0.441
Te 0.648 0.648 0.648
Te 0.844 0.844 0.844
S 0.046 0.046 0.046
CELL_PARAMETERS angstrom
2.298 1.327 18.732
-2.298 1.327 18.732
0.000 -2.654 18.732
```

---

Entry 10:
SrHfO3: relaxed, PBE. Values from VASP.

Output
Symmetry = Cmcm
Uncorrected energy = -173.9 eV for the cell shown

Quantum ESPRESSO input file:
```
&SYSTEM
  ibrav = 0, nat = 20, ntyp = 3
/
ATOMIC_SPECIES
Sr 87.62 Sr.upf
Hf 178.49 Hf.upf
O 16.00 O.upf
ATOMIC_POSITIONS crystal
Sr 0.006 0.994 0.750
Sr 0.490 0.510 0.250
Sr 0.510 0.490 0.750
Sr 0.994 0.006 0.250
Hf 0.000 0.500 0.000
Hf 0.000 0.500 0.500
Hf 0.500 0.000 0.000
Hf 0.500 0.000 0.500
O 0.048 0.540 0.250
O 0.216 0.216 0.000
O 0.216 0.216 0.500
O 0.282 0.718 0.543
O 0.282 0.718 0.957
O 0.460 0.952 0.250
O 0.540 0.048 0.750
O 0.718 0.282 0.043
O 0.718 0.282 0.457
O 0.784 0.784 0.000
O 0.784 0.784 0.500
O 0.952 0.460 0.750
CELL_PARAMETERS angstrom
4.091 -4.135 0.000
4.091 4.135 0.000
0.000 0.000 8.229
```

---

Entry 11:
Dy3Ga5O12: relaxed, PBE. Values from VASP.

Output
Symmetry = Ia-3d
Uncorrected energy = -558.4 eV for the cell shown

Quantum ESPRESSO input file:
```
&SYSTEM
  ibrav = 0, nat = 80, ntyp = 3
/
ATOMIC_SPECIES
Dy 162.50 Dy.upf
Ga 69.72 Ga.upf
O 16.00 O.upf
ATOMIC_POSITIONS crystal
Dy 0.125 0.250 0.375
Dy 0.125 0.375 0.750
Dy 0.250 0.375 0.125
Dy 0.250 0.875 0.625
Dy 0.375 0.125 0.250
Dy 0.375 0.750 0.125
Dy 0.625 0.250 0.875
Dy 0.625 0.875 0.750
Dy 0.750 0.125 0.375
Dy 0.750 0.625 0.875
Dy 0.875 0.625 0.250
Dy 0.875 0.750 0.625
Ga 0.000 0.000 0.000
Ga 0.000 0.000 0.500
Ga 0.000 0.500 0.000
Ga 0.000 0.500 0.500
Ga 0.125 0.750 0.875
Ga 0.125 0.875 0.250
Ga 0.250 0.125 0.875
Ga 0.250 0.625 0.375
Ga 0.375 0.250 0.625
Ga 0.375 0.625 0.750
Ga 0.500 0.000 0.000
Ga 0.500 0.000 0.500
Ga 0.500 0.500 0.000
Ga 0.500 0.500 0.500
Ga 0.625 0.375 0.250
Ga 0.625 0.750 0.375
Ga 0.750 0.375 0.625
Ga 0.750 0.875 0.125
Ga 0.875 0.125 0.750
Ga 0.875 0.250 0.125
O 0.029 0.206 0.123
O 0.029 0.323 0.905
O 0.083 0.706 0.677
O 0.083 0.877 0.405
O 0.095 0.623 0.417
O 0.095 0.971 0.677
O 0.123 0.029 0.206
O 0.123 0.595 0.917
O 0.177 0.206 0.583
O 0.177 0.471 0.595
O 0.206 0.123 0.029
O 0.206 0.583 0.177
O 0.294 0.323 0.917
O 0.294 0.471 0.377
O 0.323 0.905 0.029
O 0.323 0.917 0.294
O 0.377 0.294 0.471
O 0.377 0.583 0.905
O 0.405 0.083 0.877
O 0.405 0.823 0.529
O 0.417 0.095 0.623
O 0.417 0.823 0.794
O 0.471 0.377 0.294
O 0.471 0.595 0.177
O 0.529 0.405 0.823
O 0.529 0.623 0.706
O 0.583 0.177 0.206
O 0.583 0.905 0.377
O 0.595 0.177 0.471
O 0.595 0.917 0.123
O 0.623 0.417 0.095
O 0.623 0.706 0.529
O 0.677 0.083 0.706
O 0.677 0.095 0.971
O 0.706 0.529 0.623
O 0.706 0.677 0.083
O 0.794 0.417 0.823
O 0.794 0.877 0.971
O 0.823 0.529 0.405
O 0.823 0.794 0.417
O 0.877 0.405 0.083
O 0.877 0.971 0.794
O 0.905 0.029 0.323
O 0.905 0.377 0.583
O 0.917 0.123 0.595
O 0.917 0.294 0.323
O 0.971 0.677 0.095
O 0.971 0.794 0.877
CELL_PARAMETERS angstrom
-6.206 6.206 6.206
6.206 -6.206 6.206
6.206 6.206 -6.206
```